# PBE-GGA Na5Ca3SnP3S3O24, relaxed
# * symmetry: No. 1
data_Na5Ca3SnP3S3O24
_chemical_formula_sum 'Na15 Ca9 Sn3 P9 S9 O72'
_symmetry_space_group_name_H-M 'P 1'
_symmetry_Int_Tables_number 1
_symmetry_space_group_name_Hall 'P 1'
_cell_length_a 9.276
_cell_length_b 9.271
_cell_length_c 23.174
_cell_angle_alpha 90.36
_cell_angle_beta 89.84
_cell_angle_gamma 119.91
loop_
_atom_site_label
_atom_site_type_symbol
_atom_site_fract_x
_atom_site_fract_y
_atom_site_fract_z
Na1 Na 0.997 0.636 0.262
Na2 Na 0.301 0.346 0.589
Na3 Na 0.025 0.688 0.578
Na4 Na 0.673 0.958 0.575
Na5 Na 0.668 0.697 0.078
Na6 Na 0.038 0.344 0.084
Na7 Na 0.985 0.677 0.909
Na8 Na 0.324 0.298 0.902
Na9 Na 0.694 0.680 0.420
Na10 Na 0.995 0.004 0.493
Na11 Na 0.999 0.990 0.992
Na12 Na 0.653 0.318 0.823
Na13 Na 0.657 0.293 0.339
Na14 Na 0.337 0.682 0.177
Na15 Na 0.330 0.644 0.673
Ca1 Ca 0.002 0.010 0.352
Ca2 Ca 0.994 0.005 0.846
Ca3 Ca 0.002 0.008 0.657
Ca4 Ca 0.007 0.997 0.149
Ca5 Ca 0.668 0.341 0.688
Ca6 Ca 0.658 0.326 0.187
Ca7 Ca 0.332 0.675 0.015
Ca8 Ca 0.326 0.667 0.510
Ca9 Ca 0.336 0.673 0.325
Sn1 Sn 0.668 0.330 0.977
Sn2 Sn 0.683 0.337 0.483
Sn3 Sn 0.338 0.667 0.822
P1 P 0.311 0.322 0.756
P2 P 0.961 0.330 0.584
P3 P 0.667 0.627 0.580
P4 P 0.951 0.621 0.081
P5 P 0.630 0.657 0.922
P6 P 0.034 0.374 0.921
P7 P 0.342 0.969 0.916
P8 P 0.641 0.982 0.423
P9 P 0.013 0.661 0.418
S1 S 0.299 0.992 0.251
S2 S 0.695 0.699 0.248
S3 S 0.007 0.312 0.246
S4 S 0.017 0.695 0.755
S5 S 0.676 0.985 0.752
S6 S 0.376 0.046 0.581
S7 S 0.673 0.043 0.080
S8 S 0.372 0.331 0.078
S9 S 0.348 0.361 0.422
O1 O 0.210 0.002 0.302
O2 O 0.798 0.792 0.299
O3 O 0.002 0.211 0.295
O4 O 0.218 0.222 0.809
O5 O 0.002 0.779 0.807
O6 O 0.779 0.996 0.801
O7 O 0.746 0.964 0.697
O8 O 0.214 0.245 0.699
O9 O 0.031 0.789 0.702
O10 O 0.773 0.790 0.194
O11 O 0.011 0.234 0.190
O12 O 0.207 0.984 0.197
O13 O 0.874 0.352 0.635
O14 O 0.476 0.122 0.633
O15 O 0.640 0.511 0.630
O16 O 0.861 0.519 0.134
O17 O 0.655 0.123 0.131
O18 O 0.471 0.338 0.128
O19 O 0.450 0.311 0.023
O20 O 0.838 0.529 0.024
O21 O 0.684 0.141 0.026
O22 O 0.458 0.151 0.529
O23 O 0.688 0.543 0.521
O24 O 0.850 0.301 0.528
O25 O 0.564 0.678 0.979
O26 O 0.124 0.442 0.978
O27 O 0.314 0.868 0.970
O28 O 0.566 0.885 0.479
O29 O 0.330 0.434 0.476
O30 O 0.104 0.670 0.474
O31 O 0.094 0.640 0.363
O32 O 0.532 0.892 0.371
O33 O 0.372 0.472 0.373
O34 O 0.126 0.505 0.871
O35 O 0.370 0.884 0.862
O36 O 0.506 0.629 0.871
O37 O 0.982 0.809 0.415
O38 O 0.817 0.003 0.417
O39 O 0.205 0.192 0.415
O40 O 0.015 0.204 0.910
O41 O 0.191 0.995 0.908
O42 O 0.810 0.795 0.912
O43 O 0.980 0.173 0.586
O44 O 0.208 0.032 0.585
O45 O 0.831 0.798 0.584
O46 O 0.959 0.792 0.079
O47 O 0.833 0.040 0.080
O48 O 0.199 0.190 0.080
O49 O 0.652 0.130 0.750
O50 O 0.488 0.350 0.755
O51 O 0.875 0.524 0.753
O52 O 0.691 0.536 0.248
O53 O 0.856 0.333 0.250
O54 O 0.470 0.137 0.250
O55 O 0.630 0.483 0.920
O56 O 0.857 0.366 0.921
O57 O 0.503 0.150 0.920
O58 O 0.652 0.158 0.425
O59 O 0.507 0.352 0.424
O60 O 0.831 0.498 0.420
O61 O 0.366 0.489 0.077
O62 O 0.121 0.632 0.077
O63 O 0.534 0.870 0.077
O64 O 0.353 0.876 0.576
O65 O 0.515 0.652 0.575
O66 O 0.136 0.487 0.578
O67 O 0.306 0.834 0.252
O68 O 0.525 0.674 0.252
O69 O 0.155 0.483 0.248
O70 O 0.321 0.500 0.760
O71 O 0.177 0.689 0.758
O72 O 0.507 0.828 0.757

# PBE-GGA NaCaSnPS2O12, relaxed
# * symmetry: No. 9
data_NaCaSnPS2O12
_chemical_formula_sum 'Na6 Ca6 Sn6 P6 S12 O72'
_symmetry_space_group_name_H-M 'P 1'
_symmetry_Int_Tables_number 1
_symmetry_space_group_name_Hall 'P 1'
_cell_length_a 8.943
_cell_length_b 8.968
_cell_length_c 23.535
_cell_angle_alpha 89.23
_cell_angle_beta 90.00
_cell_angle_gamma 119.91
loop_
_atom_site_label
_atom_site_type_symbol
_atom_site_fract_x
_atom_site_fract_y
_atom_site_fract_z
Na1 Na 0.978 0.983 0.503
Na2 Na 0.005 0.983 0.003
Na3 Na 0.654 0.310 0.836
Na4 Na 0.656 0.310 0.336
Na5 Na 0.323 0.679 0.170
Na6 Na 0.357 0.679 0.670
Ca1 Ca 0.992 0.995 0.646
Ca2 Ca 0.003 0.995 0.146
Ca3 Ca 0.664 0.331 0.980
Ca4 Ca 0.667 0.331 0.480
Ca5 Ca 0.338 0.676 0.313
Ca6 Ca 0.339 0.676 0.813
Sn1 Sn 0.004 0.000 0.348
Sn2 Sn 0.996 0.000 0.848
Sn3 Sn 0.668 0.333 0.682
Sn4 Sn 0.665 0.333 0.182
Sn5 Sn 0.317 0.672 0.015
Sn6 Sn 0.354 0.672 0.515
P1 P 0.306 0.018 0.248
P2 P 0.712 0.018 0.748
P3 P 0.655 0.620 0.582
P4 P 0.965 0.620 0.082
P5 P 0.317 0.962 0.913
P6 P 0.645 0.962 0.413
S1 S 0.709 0.693 0.250
S2 S 0.987 0.291 0.249
S3 S 0.304 0.291 0.749
S4 S 0.984 0.693 0.750
S5 S 0.978 0.353 0.582
S6 S 0.375 0.026 0.583
S7 S 0.651 0.026 0.083
S8 S 0.375 0.353 0.082
S9 S 0.633 0.681 0.917
S10 S 0.044 0.361 0.916
S11 S 0.317 0.361 0.416
S12 S 0.047 0.681 0.417
O1 O 0.222 0.044 0.306
O2 O 0.814 0.774 0.303
O3 O 0.960 0.184 0.303
O4 O 0.224 0.184 0.803
O5 O 0.960 0.774 0.803
O6 O 0.821 0.044 0.806
O7 O 0.805 0.008 0.697
O8 O 0.205 0.205 0.699
O9 O 0.008 0.798 0.699
O10 O 0.790 0.798 0.199
O11 O 0.001 0.205 0.199
O12 O 0.204 0.008 0.197
O13 O 0.896 0.375 0.636
O14 O 0.482 0.105 0.636
O15 O 0.628 0.509 0.640
O16 O 0.881 0.509 0.140
O17 O 0.623 0.105 0.136
O18 O 0.478 0.375 0.136
O19 O 0.459 0.331 0.032
O20 O 0.865 0.530 0.031
O21 O 0.667 0.126 0.032
O22 O 0.459 0.126 0.532
O23 O 0.665 0.530 0.531
O24 O 0.872 0.331 0.532
O25 O 0.548 0.700 0.971
O26 O 0.150 0.440 0.969
O27 O 0.286 0.853 0.972
O28 O 0.567 0.853 0.472
O29 O 0.290 0.440 0.469
O30 O 0.152 0.700 0.471
O31 O 0.129 0.663 0.367
O32 O 0.538 0.872 0.363
O33 O 0.331 0.461 0.365
O34 O 0.131 0.461 0.865
O35 O 0.334 0.872 0.863
O36 O 0.534 0.663 0.867
O37 O 0.038 0.846 0.413
O38 O 0.828 0.972 0.409
O39 O 0.156 0.186 0.413
O40 O 0.030 0.186 0.913
O41 O 0.144 0.972 0.909
O42 O 0.807 0.846 0.913
O43 O 0.009 0.209 0.588
O44 O 0.204 0.006 0.589
O45 O 0.807 0.801 0.587
O46 O 0.993 0.801 0.087
O47 O 0.802 0.006 0.089
O48 O 0.199 0.209 0.088
O49 O 0.699 0.190 0.744
O50 O 0.480 0.305 0.746
O51 O 0.819 0.522 0.746
O52 O 0.703 0.522 0.246
O53 O 0.825 0.305 0.246
O54 O 0.491 0.190 0.244
O55 O 0.663 0.536 0.923
O56 O 0.871 0.339 0.921
O57 O 0.470 0.143 0.919
O58 O 0.673 0.143 0.419
O59 O 0.468 0.339 0.421
O60 O 0.873 0.536 0.423
O61 O 0.369 0.519 0.076
O62 O 0.149 0.630 0.081
O63 O 0.490 0.850 0.079
O64 O 0.359 0.850 0.579
O65 O 0.481 0.630 0.581
O66 O 0.149 0.519 0.576
O67 O 0.334 0.865 0.254
O68 O 0.533 0.662 0.255
O69 O 0.137 0.462 0.254
O70 O 0.325 0.462 0.754
O71 O 0.129 0.662 0.755
O72 O 0.531 0.865 0.754

Number 1: formation enthalpy at 0 K -100.0 eV/f.u.. Number 2: formation enthalpy at 0 K -41.9 eV/f.u..